# Ce3Ga4Cl

A relaxed Ce3Ga4Cl crystal (PBE, Materials Project).

Formation enthalpy at 0 K in eV/atom: -0.9530
Uncorrected energy in eV per atom: -4.85

Unit cell a=8.017 b=8.017 c=11.136 alpha=90.00 beta=90.00 gamma=90.00
Space group I4/mcm (No. 140)
Unique sites:
Ce (0.000, 0.000, 0.250) (multiplicity 4)
Ce (0.159, 0.341, 0.000) (multiplicity 8)
Ga (0.144, 0.356, 0.306) (multiplicity 16)
Cl (0.000, 0.000, 0.000) (multiplicity 4)


# Ga6CuSb7Te8Cl24

A relaxed Ga6CuSb7Te8Cl24 crystal (PBE, Materials Project).

Formation enthalpy at 0 K in eV/atom: -1.0941
Uncorrected energy in eV per atom: -3.40

Unit cell a=11.957 b=12.357 c=12.748 alpha=112.42 beta=111.70 gamma=99.87
Space group P-1 (No. 2)
Unique sites:
Ga (0.024, 0.216, 0.301) (multiplicity 2)
Ga (0.081, 0.286, 0.889) (multiplicity 2)
Ga (0.385, 0.670, 0.744) (multiplicity 2)
Cu (0.000, 0.500, 0.500) (multiplicity 1)
Sb (0.294, 0.700, 0.137) (multiplicity 2)
Sb (0.354, 0.274, 0.597) (multiplicity 2)
Sb (0.357, 0.038, 0.755) (multiplicity 2)
Sb (0.500, 0.000, 0.500) (multiplicity 1)
Te (0.244, 0.006, 0.495) (multiplicity 2)
Te (0.394, 0.715, 0.387) (multiplicity 2)
Te (0.396, 0.969, 0.227) (multiplicity 2)
Te (0.464, 0.310, 0.862) (multiplicity 2)
Cl (0.024, 0.608, 0.186) (multiplicity 2)
Cl (0.028, 0.204, 0.470) (multiplicity 2)
Cl (0.041, 0.822, 0.065) (multiplicity 2)
Cl (0.057, 0.422, 0.354) (multiplicity 2)
Cl (0.123, 0.159, 0.743) (multiplicity 2)
Cl (0.157, 0.904, 0.875) (multiplicity 2)
Cl (0.199, 0.188, 0.291) (multiplicity 2)
Cl (0.260, 0.734, 0.620) (multiplicity 2)
Cl (0.270, 0.416, 0.063) (multiplicity 2)
Cl (0.273, 0.541, 0.781) (multiplicity 2)
Cl (0.477, 0.158, 0.072) (multiplicity 2)
Cl (0.481, 0.573, 0.642) (multiplicity 2)


# Li2Bi2S3O12

A relaxed Li2Bi2S3O12 crystal (PBE, Materials Project).

Formation enthalpy at 0 K in eV/atom: -1.8917
Uncorrected energy in eV per atom: -5.85

Unit cell a=14.695 b=9.979 c=8.999 alpha=90.00 beta=119.42 gamma=90.00
Space group C2/c (No. 15)
Unique sites:
Li (0.228, 0.121, 0.056) (multiplicity 8)
Bi (0.086, 0.240, 0.443) (multiplicity 8)
S (0.000, 0.086, 0.750) (multiplicity 4)
S (0.162, 0.399, 0.177) (multiplicity 8)
O (0.045, 0.169, 0.668) (multiplicity 8)
O (0.046, 0.392, 0.080) (multiplicity 8)
O (0.087, 0.001, 0.384) (multiplicity 8)
O (0.198, 0.337, 0.353) (multiplicity 8)
O (0.200, 0.461, 0.704) (multiplicity 8)
O (0.207, 0.321, 0.088) (multiplicity 8)


# TlAsPd6

A relaxed TlAsPd6 crystal (PBE, Materials Project).

Formation enthalpy at 0 K in eV/atom: -0.2121
Uncorrected energy in eV per atom: -4.97

Unit cell a=4.5570 b=4.5570 c=21.9793 alpha=90.00 beta=90.00 gamma=120.00
Space group R-3m (No. 166, hexagonal axes)
Unique sites:
Tl (0.0000, 0.0000, 0.0000) (multiplicity 3)
As (0.0000, 0.0000, 0.5000) (multiplicity 3)
Pd (0.0000, 0.0000, 0.1334) (multiplicity 6)
Pd (0.0000, 0.0000, 0.2586) (multiplicity 6)
Pd (0.0000, 0.0000, 0.3870) (multiplicity 6)


Question: Which of these has the highest formation enthalpy at 0 K?
Answer: TlAsPd6


Question: What is the uncorrected energy in the fourth record?
Answer: -4.97 eV per atom


Question: The lowest formation enthalpy at 0 K belongs to which entry?
Answer: Li2Bi2S3O12


Question: Among the records above, which one has the highest uncorrected energy?
Answer: Ga6CuSb7Te8Cl24